No. 1
Sm3Sn13Rh4 | r2SCAN | relaxed

Cell and atoms, written as CIF:
```
data_Sm3Sn13Rh4
_chemical_formula_sum 'Sm6 Sn26 Rh8'
_symmetry_space_group_name_H-M 'P 1'
_symmetry_Int_Tables_number 1
_cell_length_a 9.7240
_cell_length_b 9.7240
_cell_length_c 9.7240
_cell_angle_alpha 90.00
_cell_angle_beta 90.00
_cell_angle_gamma 90.00
loop_
_symmetry_equiv_pos_as_xyz
'x,y,z'
loop_
_atom_site_label
_atom_site_type_symbol
_atom_site_fract_x
_atom_site_fract_y
_atom_site_fract_z
_atom_site_occupancy
Sm1 Sm 0.5000 0.0000 0.7500 1
Sm2 Sm 0.2500 0.5000 0.0000 1
Sm3 Sm 0.5000 0.0000 0.2500 1
Sm4 Sm 0.7500 0.5000 0.0000 1
Sm5 Sm 0.0000 0.2500 0.5000 1
Sm6 Sm 0.0000 0.7500 0.5000 1
Sn1 Sn 0.0000 0.3082 0.8468 1
Sn2 Sn 0.8468 0.0000 0.6918 1
Sn3 Sn 0.6918 0.8468 0.0000 1
Sn4 Sn 0.3082 0.8468 0.0000 1
Sn5 Sn 0.3468 0.8082 0.5000 1
Sn6 Sn 0.6532 0.1918 0.5000 1
Sn7 Sn 0.0000 0.0000 0.0000 1
Sn8 Sn 0.0000 0.6918 0.8468 1
Sn9 Sn 0.5000 0.3468 0.1918 1
Sn10 Sn 0.5000 0.6532 0.8082 1
Sn11 Sn 0.1532 0.0000 0.3082 1
Sn12 Sn 0.8082 0.5000 0.6532 1
Sn13 Sn 0.3082 0.1532 0.0000 1
Sn14 Sn 0.5000 0.3468 0.8082 1
Sn15 Sn 0.1918 0.5000 0.6532 1
Sn16 Sn 0.1532 0.0000 0.6918 1
Sn17 Sn 0.0000 0.6918 0.1532 1
Sn18 Sn 0.3468 0.1918 0.5000 1
Sn19 Sn 0.5000 0.6532 0.1918 1
Sn20 Sn 0.5000 0.5000 0.5000 1
Sn21 Sn 0.8082 0.5000 0.3468 1
Sn22 Sn 0.6918 0.1532 0.0000 1
Sn23 Sn 0.8468 0.0000 0.3082 1
Sn24 Sn 0.6532 0.8082 0.5000 1
Sn25 Sn 0.0000 0.3082 0.1532 1
Sn26 Sn 0.1918 0.5000 0.3468 1
Rh1 Rh 0.7500 0.7500 0.2500 1
Rh2 Rh 0.2500 0.7500 0.2500 1
Rh3 Rh 0.7500 0.2500 0.2500 1
Rh4 Rh 0.2500 0.2500 0.7500 1
Rh5 Rh 0.7500 0.2500 0.7500 1
Rh6 Rh 0.7500 0.7500 0.7500 1
Rh7 Rh 0.2500 0.2500 0.2500 1
Rh8 Rh 0.2500 0.7500 0.7500 1
```

## Properties
Formation energy   -0.571 eV per atom
M_tot   0.0 Bohr magnetons per cell
E_tot   -518.866 eV per formula unit

No. 2
SmYRh2 | r2SCAN | relaxed

Cell and atoms, written as CIF:
```
data_SmYRh2
_chemical_formula_sum 'Sm1 Y1 Rh2'
_symmetry_space_group_name_H-M 'P 1'
_symmetry_Int_Tables_number 1
_cell_length_a 4.8808
_cell_length_b 4.8808
_cell_length_c 4.8808
_cell_angle_alpha 60.00
_cell_angle_beta 60.00
_cell_angle_gamma 60.00
loop_
_symmetry_equiv_pos_as_xyz
'x,y,z'
loop_
_atom_site_label
_atom_site_type_symbol
_atom_site_fract_x
_atom_site_fract_y
_atom_site_fract_z
_atom_site_occupancy
Sm1 Sm 0.5000 0.5000 0.5000 1
Y1 Y 0.0000 0.0000 0.0000 1
Rh1 Rh 0.2500 0.2500 0.2500 1
Rh2 Rh 0.7500 0.7500 0.7500 1
```

## Properties
Formation energy   -0.817 eV per atom
M_tot   0.0 Bohr magnetons per cell
E_tot   -101.588 eV per formula unit

No. 3
YbSmRh2 | r2SCAN | relaxed

Cell and atoms, written as CIF:
```
data_YbSmRh2
_chemical_formula_sum 'Yb1 Sm1 Rh2'
_symmetry_space_group_name_H-M 'P 1'
_symmetry_Int_Tables_number 1
_cell_length_a 4.8272
_cell_length_b 4.8272
_cell_length_c 4.8272
_cell_angle_alpha 60.00
_cell_angle_beta 60.00
_cell_angle_gamma 60.00
loop_
_symmetry_equiv_pos_as_xyz
'x,y,z'
loop_
_atom_site_label
_atom_site_type_symbol
_atom_site_fract_x
_atom_site_fract_y
_atom_site_fract_z
_atom_site_occupancy
Yb1 Yb 0.0000 0.0000 0.0000 1
Sm1 Sm 0.5000 0.5000 0.5000 1
Rh1 Rh 0.2500 0.2500 0.2500 1
Rh2 Rh 0.7500 0.7500 0.7500 1
```

## Properties
Formation energy   -0.899 eV per atom
M_tot   0.0 Bohr magnetons per cell
E_tot   -118.130 eV per formula unit

No. 4
Sn4Rh | r2SCAN | relaxed

Cell and atoms, written as CIF:
```
data_Sn4Rh
_chemical_formula_sum 'Sn12 Rh3'
_symmetry_space_group_name_H-M 'P 1'
_symmetry_Int_Tables_number 1
_cell_length_a 6.8434
_cell_length_b 6.8434
_cell_length_c 8.6523
_cell_angle_alpha 90.00
_cell_angle_beta 90.00
_cell_angle_gamma 120.00
loop_
_symmetry_equiv_pos_as_xyz
'x,y,z'
loop_
_atom_site_label
_atom_site_type_symbol
_atom_site_fract_x
_atom_site_fract_y
_atom_site_fract_z
_atom_site_occupancy
Sn1 Sn 0.7630 0.2602 0.5674 1
Sn2 Sn 0.4971 0.2370 0.2340 1
Sn3 Sn 0.5029 0.7398 0.4326 1
Sn4 Sn 0.7398 0.5029 0.9007 1
Sn5 Sn 0.2602 0.7630 0.7660 1
Sn6 Sn 0.2370 0.4971 0.0993 1
Sn7 Sn 0.3730 0.3730 0.6667 1
Sn8 Sn 0.0000 0.6270 0.3333 1
Sn9 Sn 0.6270 0.0000 0.0000 1
Sn10 Sn 0.9175 0.9175 0.6667 1
Sn11 Sn 0.0000 0.0825 0.3333 1
Sn12 Sn 0.0825 0.0000 0.0000 1
Rh1 Rh 0.6883 0.6883 0.1667 1
Rh2 Rh 0.0000 0.3117 0.8333 1
Rh3 Rh 0.3117 0.0000 0.5000 1
```

## Properties
Formation energy   -0.223 eV per atom
M_tot   0.0 Bohr magnetons per cell
E_tot   -124.234 eV per formula unit